A plane-wave DFT calculation with PBE was carried out for K3NaP2O6F2 after structural relaxation.

The structure in POSCAR format:
```
K3NaP2O6F2
1.0
5.841 0.000 0.000
-2.921 5.059 0.000
0.000 0.000 7.506
K Na P O F
3 1 2 6 2
direct
0.000 0.000 0.000 K
0.333 0.667 0.328 K
0.667 0.333 0.672 K
0.000 0.000 0.500 Na
0.333 0.667 0.753 P
0.667 0.333 0.247 P
0.187 0.374 0.705 O
0.187 0.813 0.705 O
0.374 0.187 0.295 O
0.626 0.813 0.705 O
0.813 0.187 0.295 O
0.813 0.626 0.295 O
0.333 0.667 0.974 F
0.667 0.333 0.026 F
```

Values from the calculation:
Space group   P-3m1
Total magnetic moment   0.00 μB/f.u.
Theoretical density   2.52 Mg/m³
Formation energy from the elements   -2765 meV per atom
Calculated total energy   -5.905 eV per atom
Crystal system   trigonal



A plane-wave DFT calculation with PBE was carried out for KNa2RhF6 after structural relaxation.

The structure in POSCAR format:
```
KNa2RhF6
1.0
0.000 4.446 4.446
4.446 0.000 4.446
4.446 4.446 0.000
K Na Rh F
1 2 1 6
direct
0.000 0.000 0.000 K
0.250 0.250 0.250 Na
0.750 0.750 0.750 Na
0.500 0.500 0.500 Rh
0.275 0.275 0.725 F
0.275 0.725 0.275 F
0.275 0.725 0.725 F
0.725 0.275 0.275 F
0.725 0.275 0.725 F
0.725 0.725 0.275 F
```

Values from the calculation:
Space group   Fm-3m
Total magnetic moment   0.00 μB/f.u.
Theoretical density   2.85 Mg/m³
Formation energy from the elements   -2420 meV per atom
Calculated total energy   -4.404 eV per atom
Crystal system   cubic



A plane-wave DFT calculation with PBE was carried out for K2NaRuF6 after structural relaxation.

The structure in POSCAR format:
```
K2NaRuF6
1.0
0.000 4.268 4.268
4.268 0.000 4.268
4.268 4.268 0.000
K Na Ru F
2 1 1 6
direct
0.250 0.250 0.250 K
0.750 0.750 0.750 K
0.000 0.000 0.000 Na
0.500 0.500 0.500 Ru
0.263 0.263 0.737 F
0.263 0.737 0.263 F
0.263 0.737 0.737 F
0.737 0.263 0.263 F
0.737 0.263 0.737 F
0.737 0.737 0.263 F
```

Values from the calculation:
Space group   Fm-3m
Total magnetic moment   0.95 μB/f.u.
Theoretical density   3.38 Mg/m³
Formation energy from the elements   -2625 meV per atom
Calculated total energy   -4.779 eV per atom
Crystal system   cubic



A plane-wave DFT calculation with PBE was carried out for KNa2SbF6 after structural relaxation.

The structure in POSCAR format:
```
KNa2SbF6
1.0
0.000 4.685 4.685
4.685 0.000 4.685
4.685 4.685 0.000
K Na Sb F
1 2 1 6
direct
0.000 0.000 0.000 K
0.250 0.250 0.250 Na
0.750 0.750 0.750 Na
0.500 0.500 0.500 Sb
0.267 0.267 0.733 F
0.267 0.733 0.267 F
0.267 0.733 0.733 F
0.733 0.267 0.267 F
0.733 0.267 0.733 F
0.733 0.733 0.267 F
```

Values from the calculation:
Space group   Fm-3m
Total magnetic moment   0.00 μB/f.u.
Theoretical density   2.59 Mg/m³
Formation energy from the elements   -2641 meV per atom
Calculated total energy   -4.301 eV per atom
Crystal system   cubic